! HAuO2 PBE-GGA optimized geometry; values from VASP
! E (MP2020) ... -4.896 eV/atom
! Formation energy ... -0.755 eV/atom
! Energy above the lowest structure with this stoichiometry ... 0 meV per atom
! Space group ... P-1
! Crystal system ... triclinic
&SYSTEM
  ibrav = 0, nat = 8, ntyp = 3
/
ATOMIC_SPECIES
H 1.01 H.upf
Au 196.97 Au.upf
O 16.00 O.upf
CELL_PARAMETERS angstrom
4.153 0.000 0.000
-1.995 4.279 0.000
-0.043 -0.296 5.485
ATOMIC_POSITIONS angstrom
H 0.254 0.008 1.379
H 1.862 3.975 4.106
Au -1.019 1.991 2.742
Au 1.079 2.139 0.000
O -0.391 0.949 4.362
O 0.431 1.112 1.629
O 1.685 2.871 3.855
O 2.507 3.034 1.123